Record 1
VASP calculation (GGA+U) on a relaxed structure of CuNi2P2O8.

## Properties
DFT formation energy = -2.027 eV/atom
mass density = 4.20 g cm⁻³
crystal system = monoclinic

abc: 4.7305 9.5785 7.9845
angles: 90.00 125.84 90.00
Last column: nearest neighbours and their distance in Å.
Space group P2_1/c (No. 14)
Asymmetric unit:
Cu 0.0000 0.0000 0.0000 (multiplicity 2)  4 O 1.96-2.04
Ni 0.1748 0.1256 0.6482 (multiplicity 4)  5 O 2.03-2.08
P 0.3396 0.6762 0.3503 (multiplicity 4)  4 O 1.53-1.57
O 0.0839 0.5824 0.1600 (multiplicity 4)  1 P 1.56
O 0.2152 0.6726 0.8253 (multiplicity 4)  1 P 1.53
O 0.2982 0.1758 0.1149 (multiplicity 4)  1 P 1.57
O 0.3873 0.6112 0.5461 (multiplicity 4)  1 P 1.57

***

Record 2
VASP calculation (GGA+U) on a relaxed structure of Ti3CuNi2P6O24.

## Properties
DFT formation energy = -2.642 eV/atom
mass density = 3.37 g cm⁻³
crystal system = trigonal

abc: 8.6243 8.6243 20.5412
angles: 90.00 90.00 120.00
Last column: nearest neighbours and their distance in Å.
Space group R3 (No. 146, hexagonal axes)
Asymmetric unit:
Ti 0.0000 0.0000 0.0000 (multiplicity 3)  6 O 1.90-2.05
Ti 0.0000 0.0000 0.2127 (multiplicity 3)  6 O 1.88-2.02
Ti 0.0000 0.0000 0.5027 (multiplicity 3)  6 O 1.88-2.08
Cu 0.0000 0.0000 0.7132 (multiplicity 3)  6 O 1.97-2.15
Ni 0.0000 0.0000 0.3564 (multiplicity 3)  6 O 2.15-2.17
Ni 0.0000 0.0000 0.8549 (multiplicity 3)  6 O 2.10-2.17
P 0.0005 0.2964 0.6095 (multiplicity 9)  4 O 1.50-1.57
P 0.0007 0.7041 0.1074 (multiplicity 9)  4 O 1.52-1.56
O 0.0047 0.2084 0.6717 (multiplicity 9)  1 P 1.50
O 0.0091 0.1766 0.2796 (multiplicity 9)  1 P 1.57
O 0.0191 0.8311 0.7858 (multiplicity 9)  1 P 1.52
O 0.0212 0.8230 0.1670 (multiplicity 9)  1 P 1.55
O 0.1469 0.6733 0.7132 (multiplicity 9)  1 P 1.55
O 0.1480 0.4748 0.2150 (multiplicity 9)  1 P 1.56
O 0.1684 0.4864 0.5983 (multiplicity 9)  1 P 1.57
O 0.1717 0.6873 0.0988 (multiplicity 9)  1 P 1.56

***

- The highest DFT formation energy belongs to which entry?
  CuNi2P2O8